Below is crystalline Li9Mn2Co5O16 at its relaxed geometry, with properties calculated at the GGA+U level.

Cell and atoms, written as extended XYZ:
```
32
Lattice="-5.0825 0.0000 0.0000 -0.0078 -5.7762 0.0000 0.9893 1.3818 9.6507" Properties=species:S:1:pos:R:3 pbc="T T T"
Li -3.7257 -2.1984 7.1591
Co 0.4710 -0.7123 4.8422
O -0.4397 -2.2401 5.9097
O -1.2181 -3.5159 3.7533
Mn -3.8184 -5.0269 0.0104
Li -0.4473 -5.0571 2.5411
O -2.8829 -0.8785 5.8975
O -4.5731 -0.7297 1.0643
O -1.2082 -0.8658 3.7420
Li -3.6537 0.6627 7.1096
O 0.5781 -0.8124 8.6315
O 0.4721 -3.6647 8.5864
Li -2.8729 -3.6377 2.5328
O -3.6613 -2.1543 3.7410
O -4.6791 -3.5820 1.0192
O -3.8626 -5.0225 3.6419
O -2.1296 -2.1799 1.0101
O -2.0698 0.6576 8.5680
Co -1.2748 -3.6116 0.0017
O -2.8928 -3.5286 5.9087
Li -0.3753 -2.1959 2.4917
Co -4.5720 -3.6821 4.8085
O -2.0312 -5.0520 1.0827
Co -2.8262 -0.7827 9.6491
Li -2.9186 -0.7172 2.5435
Li -1.2281 -0.7566 7.1179
O -1.9714 -2.2145 8.6406
O -0.2384 0.6281 6.0088
Li -1.1824 -3.6772 7.1072
Mn -0.2826 0.6325 9.6403
Co -2.0505 -2.1972 4.8254
Li -2.0466 0.6909 4.8254
```

Calculated values
**Magnetic moment**: 10.00 μB/cell
**Space-group type**: P-1

***

Below is crystalline NiC4O4 at its relaxed geometry, with properties calculated at the GGA+U level.

Cell and atoms, written as extended XYZ:
```
72
Lattice="11.0235 0.0000 0.0000 0.0000 11.0235 0.0000 0.0000 0.0000 11.0235" Properties=species:S:1:pos:R:3 pbc="T T T"
C 5.8459 2.3834 5.2246
O 5.8265 8.5590 10.6252
Ni 1.3435 4.1682 6.8553
O 3.0460 3.0460 3.0460
C 3.1284 5.7989 0.3342
Ni 9.6800 6.8553 4.1682
O 0.3983 0.3148 7.9763
O 3.0460 2.4658 8.5577
C 7.8916 2.3799 3.1319
C 8.6436 7.8916 3.1319
O 10.7088 3.0473 10.6252
C 10.6894 8.6402 10.7364
C 2.3834 5.2246 5.8459
Ni 9.6800 9.6800 9.6800
O 3.0473 10.6252 10.7088
O 5.1970 3.0473 5.9101
C 7.8951 0.2872 5.1776
O 8.5590 5.9101 0.3148
Ni 4.1682 6.8553 1.3435
Ni 6.8553 1.3435 4.1682
O 3.0473 5.9101 5.1970
Ni 1.3435 1.3435 1.3435
O 10.7088 2.4645 5.1134
C 5.1776 7.8951 0.2872
C 0.3342 3.1284 5.7989
O 5.1970 2.4645 0.3983
C 3.1319 8.6436 7.8916
O 2.4645 5.1134 10.7088
O 2.4658 8.5577 3.0460
O 2.4645 0.3983 5.1970
C 3.1319 7.8916 2.3799
Ni 4.1682 9.6800 6.8553
C 5.8459 3.1284 10.7364
C 5.1776 8.6402 5.7989
O 5.9101 5.1970 3.0473
C 5.2246 5.8459 2.3834
C 0.2872 5.1776 7.8951
C 2.3834 0.2872 0.3342
O 5.1134 5.8265 7.9763
O 7.9775 7.9775 7.9775
C 10.7364 10.6894 8.6402
C 10.7364 5.8459 3.1284
C 7.8916 3.1319 8.6436
O 2.4658 7.9775 8.5577
O 8.5577 3.0460 2.4658
C 3.1284 10.7364 5.8459
C 5.7989 5.1776 8.6402
O 7.9763 0.3983 0.3148
O 5.1134 10.7088 2.4645
C 5.2246 10.6894 7.8951
C 7.8951 5.2246 10.6894
O 5.9101 0.3148 8.5590
C 0.3342 2.3834 0.2872
O 5.8265 7.9763 5.1134
O 10.6252 10.7088 3.0473
C 8.6402 10.7364 10.6894
C 5.7989 0.3342 3.1284
C 2.3799 3.1319 7.8916
O 0.3148 7.9763 0.3983
O 0.3148 8.5590 5.9101
C 8.6436 8.6436 8.6436
O 7.9775 8.5577 2.4658
O 0.3983 5.1970 2.4645
C 2.3799 2.3799 2.3799
O 8.5590 10.6252 5.8265
C 10.6894 7.8951 5.2246
O 8.5577 2.4658 7.9775
O 7.9763 5.1134 5.8265
C 0.2872 0.3342 2.3834
O 10.6252 5.8265 8.5590
Ni 6.8553 4.1682 9.6800
C 8.6402 5.7989 5.1776
```

Calculated values
**Magnetic moment**: 0.00 μB/cell
**Space-group type**: Pa-3

***

Below is crystalline LiVF4 at its relaxed geometry, with properties calculated at the GGA+U level.

Cell and atoms, written as extended XYZ:
```
24
Lattice="5.3962 0.0000 0.0000 0.0000 6.1226 0.0000 0.0000 1.0385 9.6315" Properties=species:S:1:pos:R:3 pbc="T T T"
F 3.8024 3.6315 6.6368
V 2.5569 3.9761 1.2606
Li 0.1313 1.5651 7.4503
F 1.6890 5.4607 5.6098
F 1.5938 3.5296 2.9947
F 0.6962 1.0083 2.9314
F 3.7072 1.7004 4.0217
V 0.1412 4.4954 6.0764
F 1.0091 4.9415 0.7940
F 3.3943 5.6336 1.8843
Li 2.8294 6.1153 6.9970
Li 2.5668 1.0458 2.6346
F 1.1043 4.0488 7.8105
F 3.2974 5.0271 8.9588
F 0.5993 2.6533 5.4885
F 2.0988 2.1340 0.6727
F 4.3871 2.2196 8.8375
F 4.2919 3.1123 1.8210
Li 5.2649 5.5960 2.1812
V 2.8393 3.1850 8.3709
V 5.2550 2.6657 3.5552
F 4.7968 4.5079 4.1431
F 2.0019 1.5275 7.7472
F 4.7000 6.1528 6.7001
```

Calculated values
**Magnetic moment**: 8.00 μB/cell
**Space-group type**: P2_1/c

***

Below is crystalline MnAs2S2O4F12 at its relaxed geometry, with properties calculated at the GGA+U level.

Cell and atoms, written as extended XYZ:
```
42
Lattice="-9.7212 -4.4887 -5.4067 -9.3291 3.9138 -1.9527 -0.8317 -0.7406 -9.0248" Properties=species:S:1:pos:R:3 pbc="T T T"
F -8.9354 -1.5547 -4.8083
O -17.8222 -1.5481 -15.1412
S -16.1106 0.3009 -6.3723
F -10.6909 -4.2191 -8.3344
As -6.2926 0.0434 -7.2787
F -6.1854 0.1575 -9.0320
As -10.6578 -1.2362 -4.6584
O -7.6064 -1.2670 -11.5247
F -16.5665 -0.0236 -11.2355
F -11.9036 -3.5936 -14.1864
S -8.4980 -0.1424 -11.6186
O -15.9033 -0.1782 -14.3912
F -4.5430 -0.0719 -7.1514
O -14.0991 1.3310 -12.4579
F -11.5097 -2.4186 -11.9954
F -11.7984 -1.2069 -9.2034
As -13.5766 -1.5838 -8.9420
F -17.8146 -0.2066 -9.0616
F -15.8870 -2.6146 -12.6300
S -11.6030 2.6442 -7.5410
Mn -14.9285 -0.6909 -12.5032
F -13.2587 -2.0286 -7.2851
F -9.4128 -4.0162 -10.4819
F -10.7097 -0.7408 -6.4255
F -10.3401 0.4501 -4.2659
O -9.3326 0.1362 -10.4415
Mn -9.9580 -0.3620 -8.4071
F -6.4855 -1.6891 -7.3525
As -8.9916 -4.1351 -8.7769
S -3.7707 -1.6301 -10.0019
F -13.2785 -1.5676 -13.6185
O -10.7288 1.6745 -8.2156
O -12.4014 2.1446 -6.4541
F -13.2897 -3.2069 -9.5093
F -9.0732 -2.3025 -8.7025
F -6.4875 0.0644 -5.5466
F -8.4543 2.5319 -5.4276
O -12.1267 1.7681 -11.0296
F -15.3030 -1.8708 -8.7766
F -13.7873 0.1073 -8.5012
F -13.8369 -1.0864 -10.6900
F -8.1056 0.2736 -7.4586
```

Calculated values
**Magnetic moment**: 10.04 μB/cell
**Space-group type**: Fdd2

***

Below is crystalline MnOF at its relaxed geometry, with properties calculated at the GGA+U level.

Cell and atoms, written as extended XYZ:
```
18
Lattice="4.8124 -0.2718 0.0000 -0.8194 14.3026 0.0000 0.0000 0.0000 3.0623" Properties=species:S:1:pos:R:3 pbc="T T T"
O 3.2575 3.1391 0.0000
O 0.2035 13.3316 1.5311
O 1.0937 6.1278 0.0000
F 3.1210 10.2980 1.5311
Mn 1.4911 11.7737 1.5311
Mn -0.2340 4.7678 0.0000
O 1.5472 1.3720 0.0000
Mn 1.9521 7.0033 1.5311
F 2.6012 12.6594 0.0000
F 0.2932 8.6271 1.5311
Mn 2.4053 2.2647 1.5311
F 3.6028 5.4489 1.5311
Mn 4.1174 9.2713 0.0000
F 0.7376 3.8092 1.5311
O 0.6509 10.9132 0.0000
O 2.7895 7.9170 0.0000
Mn -0.5539 14.2640 0.0000
F 4.0452 0.5766 1.5311
```

Calculated values
**Magnetic moment**: 24.01 μB/cell
**Space-group type**: Pm

***

Below is crystalline LaEu3Ni4O12 at its relaxed geometry, with properties calculated at the GGA+U level.

Cell and atoms, written as extended XYZ:
```
20
Lattice="5.4380 -0.0133 0.0000 -0.0135 5.4642 0.0000 0.0000 0.0000 7.6458" Properties=species:S:1:pos:R:3 pbc="T T T"
O 3.8761 1.5541 0.2935
Ni -0.0063 2.7345 3.8357
Ni 2.7062 5.4556 7.6358
Ni 2.7062 5.4556 3.8330
La 2.7551 2.9421 1.9115
O 1.5701 3.8763 7.3011
O 1.1441 1.1403 4.1517
O 4.2937 4.3272 3.5032
Eu 5.3893 0.2307 1.9115
Eu 2.6652 2.4760 5.7344
O 1.5701 3.8763 4.1677
O 3.8761 1.5541 3.5294
O 0.3791 2.6376 1.9115
O 4.2937 4.3272 0.3197
O 2.2543 5.4108 1.9115
Ni -0.0063 2.7345 7.6330
O 1.1441 1.1403 7.3170
O 4.9825 2.8125 5.7344
Eu 0.0347 5.2175 5.7344
O 3.1653 0.0831 5.7344
```

Calculated values
**Magnetic moment**: 1.48 μB/cell
**Space-group type**: Pm

***

Below is crystalline MgNbCrO4 at its relaxed geometry, with properties calculated at the GGA+U level.

Cell and atoms, written as extended XYZ:
```
7
Lattice="5.6866 0.0791 0.0590 2.5599 5.0785 -0.0590 -4.0920 -2.6288 2.9483" Properties=species:S:1:pos:R:3 pbc="T T T"
O 1.8333 1.1466 0.0000
O 4.8481 1.2586 1.5037
O 6.5905 4.1219 0.0000
Mg 3.5486 2.2194 0.0000
Nb 0.0360 0.0225 0.0000
Cr 2.7094 -0.0790 1.5037
O 3.3515 3.8001 1.4447
```

Calculated values
**Magnetic moment**: 3.61 μB/cell
**Space-group type**: Imm2

***

Below is crystalline Mg14VFeO16 at its relaxed geometry, with properties calculated at the GGA+U level.

Cell and atoms, written as extended XYZ:
```
32
Lattice="8.5518 0.0000 0.0000 0.0000 8.5688 0.0000 0.0000 0.0000 4.2684" Properties=species:S:1:pos:R:3 pbc="T T T"
Mg 2.1480 4.2844 2.1342
V 0.0000 4.2844 0.0000
O 2.1287 2.1405 2.1342
Mg 4.2759 4.2844 0.0000
Mg 6.4103 6.4334 0.0000
O 6.3602 0.0000 0.0000
O 0.0000 4.2844 2.1342
O 6.3662 4.2844 0.0000
Mg 0.0000 2.1517 2.1342
O 4.2759 4.2844 2.1342
Mg 0.0000 6.4171 2.1342
O 4.2759 0.0000 2.1342
Mg 2.1414 2.1353 0.0000
Mg 6.4038 4.2844 2.1342
Mg 6.3924 0.0000 2.1342
O 2.1856 4.2844 0.0000
Mg 4.2759 6.4244 2.1342
Mg 6.4103 2.1353 0.0000
O 2.1287 6.4282 2.1342
O 0.0000 2.1366 0.0000
O 2.1916 0.0000 0.0000
Fe 0.0000 0.0000 0.0000
Mg 2.1594 0.0000 2.1342
Mg 2.1414 6.4334 0.0000
O 4.2759 6.4237 0.0000
O 6.4231 6.4282 2.1342
O 0.0000 0.0000 2.1342
Mg 4.2759 0.0000 0.0000
O 6.4231 2.1405 2.1342
Mg 4.2759 2.1444 2.1342
O 0.0000 6.4322 0.0000
O 4.2759 2.1451 0.0000
```

Calculated values
**Space-group type**: Pmmm

***

Below is crystalline PrTlMo2O8 at its relaxed geometry, with properties calculated at the GGA+U level.

Cell and atoms, written as extended XYZ:
```
24
Lattice="6.4151 0.0000 0.0000 0.0000 6.4151 0.0000 0.0000 0.0000 9.7643" Properties=species:S:1:pos:R:3 pbc="T T T"
O 0.7359 4.4444 1.3627
Pr 0.0000 0.0000 0.0000
O 5.1783 2.4716 6.2448
Mo 0.0000 3.2075 2.4411
O 5.1783 3.9435 3.5195
O 2.4716 1.2368 6.2448
Tl 0.0000 0.0000 4.8821
O 4.4444 0.7359 8.4016
O 2.4716 5.1783 3.5195
Pr 3.2075 3.2075 4.8821
Mo 0.0000 3.2075 7.3232
O 5.6792 4.4444 8.4016
O 5.6792 1.9707 1.3627
O 1.9707 5.6792 8.4016
Mo 3.2075 0.0000 2.4411
O 1.9707 0.7359 1.3627
O 3.9435 1.2368 3.5195
O 0.7359 1.9707 8.4016
Mo 3.2075 0.0000 7.3232
O 1.2368 2.4716 3.5195
O 4.4444 5.6792 1.3627
Tl 3.2075 3.2075 0.0000
O 3.9435 5.1783 6.2448
O 1.2368 3.9435 6.2448
```

Calculated values
**Magnetic moment**: 0.00 μB/cell
**Space-group type**: P4/nnc

***

Below is crystalline Li2VF5 at its relaxed geometry, with properties calculated at the GGA+U level.

Cell and atoms, written as extended XYZ:
```
32
Lattice="9.7374 0.0000 0.0000 0.0000 5.8359 0.0000 0.0000 2.1978 7.5200" Properties=species:S:1:pos:R:3 pbc="T T T"
F 1.2769 4.0999 1.3202
Li 3.1470 4.1657 0.9515
V 9.6728 2.4931 5.9380
Li 2.9794 0.8590 0.1313
F 3.5918 5.1988 5.0802
F 1.2147 6.8879 5.6105
F 8.5227 1.1459 1.9095
V 0.0646 5.5406 1.5820
F 8.6802 7.2588 7.4633
Li 6.5904 3.8680 6.5685
F 1.1284 6.2297 3.0526
Li 7.8481 6.0758 3.6287
F 5.9258 6.1599 3.7033
F 3.8116 1.8739 3.8167
F 3.6540 5.7890 1.8505
V 4.9332 1.3942 2.1780
F 1.1384 3.5023 4.6939
F 6.0833 2.2448 5.6695
Li 8.0157 2.7691 2.8085
Li 6.7580 7.1747 7.3887
V 4.8041 6.6395 5.3420
Li 1.8893 1.9579 3.8913
F 6.1455 2.8349 2.4398
F 3.7402 7.3286 6.8126
F 8.5989 4.5314 2.8261
F 3.7303 2.4034 0.9339
F 1.0571 0.7749 0.0567
F 8.4605 3.9338 6.1998
Li 1.7217 5.2646 4.7115
F 5.9971 0.7051 0.7074
F 8.6089 1.8040 4.4674
F 6.0071 5.6304 6.5861
```

Calculated values
**Magnetic moment**: 8.00 μB/cell
**Space-group type**: P2_1/c

***

Below is crystalline Ca8TiMn7O24 at its relaxed geometry, with properties calculated at the GGA+U level.

Cell and atoms, written as extended XYZ:
```
40
Lattice="-4.7607 4.5341 3.8621 -5.3898 -5.3837 -0.3234 2.5346 -2.9319 6.5664" Properties=species:S:1:pos:R:3 pbc="T T T"
O -6.2657 0.7090 2.7351
Mn -5.0752 -0.4248 1.7694
O -0.4792 0.0680 6.8562
Ca -4.5957 -3.6303 2.3753
O -0.0799 -2.8116 3.2024
O 0.6420 -0.7426 1.6632
Mn -2.3803 2.2671 1.9311
O -1.7468 1.5342 3.5723
O -2.6180 -3.0241 4.0872
O -0.7938 -4.8909 4.7635
O -3.8848 -1.5585 0.8037
Ti 0.0000 0.0000 0.0000
O -2.4607 -0.5450 5.1334
O -2.0614 -3.4247 1.4796
O -4.0247 -4.0201 -0.2415
O -4.9979 -0.7574 6.0179
Ca -3.0201 -0.1512 7.7299
O -2.7753 -5.5040 3.0407
Ca -0.6492 -2.4093 5.8065
O -3.1744 -2.6236 6.6939
Mn 1.2673 -1.4660 3.2832
Ca -6.9666 -1.3722 4.2987
O -3.5549 3.3857 2.8839
O -5.1551 -3.2364 4.9718
Ca -3.3334 -5.0904 5.6455
Mn -1.4276 -4.1578 3.1215
Mn -1.1130 0.8011 5.2143
O -1.3652 -1.3636 -0.0819
O 1.8926 -2.1893 4.9033
O -2.3034 1.9349 6.1800
O -4.4415 -1.1579 3.4113
O -3.7275 0.9214 1.8502
Ca -5.7044 -2.8323 7.5689
O 0.0774 -0.3327 4.2485
Ca -4.2824 1.3090 4.4597
Ca -1.9115 -0.9491 2.5363
Mn -2.6949 -2.6918 -0.1617
O -1.2058 1.1484 0.9782
Mn -3.8079 -1.8907 5.0526
O -6.4230 -1.7709 1.6885
```

Calculated values
**Magnetic moment**: 21.32 μB/cell
**Space-group type**: Pm-3m

***

These records have E (MP2020) values of -6.51; -7.62; -6.27; -5.58; -7.68; -7.48; -8.27; -6.61; -8.06; -5.96; -7.73 eV per atom, in the order they appear.
These records have energy of formation from the pure elements values of -58.01; -6.10; -18.94; -47.63; -7.02; -31.49; -16.76; -92.28; -28.25; -25.23; -102.39 eV/f.u., in the order they appear.